1.
Mg6NiMo (PBE, relaxed); ρ = 3.33 g/cm3; E_form = 22.6 kJ per mole of atoms; energy relative to the lowest polymorph listed for this composition = 0.027 eV per atom
1.0
4.7528 0.0000 0.0000
0.0000 5.9746 0.0000
0.0000 0.0000 10.5404
Mg Mo Ni
12 2 2
Direct
0.5000 0.2477 0.9190
0.0000 0.0000 0.3213
0.0000 0.7502 0.0893
0.0000 0.2502 0.5893
0.0000 0.2498 0.0893
0.5000 0.2523 0.4190
0.0000 0.0000 0.8246
0.0000 0.5000 0.8213
0.5000 0.7477 0.4190
0.0000 0.7498 0.5893
0.0000 0.5000 0.3246
0.5000 0.7523 0.9190
0.5000 0.0000 0.6704
0.5000 0.5000 0.1704
0.5000 0.0000 0.1671
0.5000 0.5000 0.6671



2.
Mg6NiMo (PBE, relaxed); ρ = 3.35 g/cm3; E_form = 20.0 kJ per mole of atoms; energy relative to the lowest polymorph listed for this composition = 0.000 eV per atom
1.0
-0.3381 4.3141 1.8685
-0.7055 -2.3630 5.3281
10.6425 0.1877 1.4923
Mg Ni Mo
12 2 2
Direct
0.0000 0.0000 0.3285
0.5000 0.0000 0.1696
0.0000 0.7612 0.5848
0.5000 0.2579 0.4209
0.5000 0.2421 0.9209
0.0000 0.2388 0.5848
0.0000 0.7388 0.0848
0.5000 0.7421 0.4209
0.0000 0.5000 0.8285
0.5000 0.7579 0.9209
0.5000 0.5000 0.6696
0.0000 0.2612 0.0848
0.0000 0.5000 0.3033
0.0000 0.0000 0.8033
0.5000 0.0000 0.6872
0.5000 0.5000 0.1872



3.
Mg2NiMo3S8 (PBE, relaxed); ρ = 3.91 g/cm3; E_form = -81.5 kJ per mole of atoms
1.0
3.6579 2.1119 5.9761
-3.6579 2.1119 5.9761
0.0000 -4.2238 5.9761
Mg Ni Mo S
2 1 3 8
Direct
0.1241 0.1241 0.1241
0.8759 0.8759 0.8759
0.5000 0.5000 0.5000
0.0000 0.5000 0.5000
0.5000 0.0000 0.5000
0.5000 0.5000 0.0000
0.2607 0.2607 0.2607
0.2642 0.2642 0.7128
0.2642 0.7128 0.2642
0.2872 0.7358 0.7358
0.7128 0.2642 0.2642
0.7358 0.2872 0.7358
0.7358 0.7358 0.2872
0.7393 0.7393 0.7393



4.
MgNiMoS4 (PBE, relaxed); ρ = 3.84 g/cm3; E_form = -81.6 kJ per mole of atoms
1.0
6.4387 -3.4334 0.0000
6.4387 3.4334 0.0000
-4.1085 0.0000 6.0099
Mg Ni Mo S
2 2 2 8
Direct
0.0000 0.0000 0.0000
0.2403 0.2403 0.7426
0.6201 0.6201 0.3713
0.6201 0.6201 0.8712
0.1197 0.6205 0.3713
0.6205 0.1197 0.3713
0.3848 0.3848 0.6238
0.3856 0.3856 0.1487
0.3869 0.8187 0.6053
0.4215 0.8534 0.1372
0.8187 0.3869 0.6053
0.8534 0.4215 0.1372
0.8545 0.8545 0.5940
0.8553 0.8553 0.1182



5.
MgMo2S4 (PBE, relaxed); ρ = 3.94 g/cm3; E_form = -94.0 kJ per mole of atoms; energy relative to the lowest polymorph listed for this composition = 0.020 eV per atom
1.0
3.2036 0.0000 0.0000
-1.6018 2.7744 0.0000
0.0000 0.0000 16.3126
Mg Mo S
1 2 4
Direct
0.0000 0.0000 0.0000
0.0000 0.0000 0.2647
0.0000 0.0000 0.7353
0.3333 0.6667 0.6399
0.3333 0.6667 0.8320
0.6667 0.3333 0.1680
0.6667 0.3333 0.3601



6.
MgMo2S4 (PBE, relaxed); ρ = 3.76 g/cm3; E_form = -95.5 kJ per mole of atoms; energy relative to the lowest polymorph listed for this composition = 0.003 eV per atom
1.0
2.7765 -1.6031 0.0000
2.7765 1.6031 0.0000
-0.0314 0.0000 17.1021
Mg Mo S
1 2 4
Direct
0.0000 0.0000 0.0000
0.3231 0.3231 0.7475
0.9902 0.9902 0.2647
0.3232 0.3232 0.1733
0.3244 0.3244 0.3557
0.9893 0.9893 0.6567
0.9904 0.9904 0.8389



7.
MgMo6S8 (PBE, relaxed); ρ = 5.09 g/cm3; E_form = -99.6 kJ per mole of atoms
1.0
6.5442 0.0000 0.0000
-0.4081 6.5469 0.0000
-0.7192 -0.8678 13.0548
Mg Mo S
2 12 16
Direct
0.0000 0.0000 0.0000
0.1418 0.8203 0.5187
0.2514 0.4425 0.2393
0.2594 0.4411 0.7408
0.4449 0.1120 0.8097
0.4460 0.1145 0.3093
0.4879 0.4841 0.9258
0.4888 0.4820 0.4238
0.5826 0.3017 0.1468
0.5847 0.3021 0.6465
0.6273 0.6724 0.2621
0.6279 0.6747 0.7617
0.8117 0.3477 0.8292
0.8195 0.3428 0.3321
0.1686 0.2731 0.9000
0.1700 0.2729 0.3975
0.2501 0.1078 0.1439
0.2501 0.1079 0.6445
0.3047 0.7618 0.3461
0.3102 0.7582 0.8478
0.4151 0.6180 0.1037
0.4157 0.6211 0.6026
0.6554 0.1635 0.9696
0.6566 0.1671 0.4684
0.7598 0.0283 0.7244
0.7636 0.0257 0.2246
0.8193 0.6777 0.4284
0.8204 0.6773 0.9279
0.9005 0.5119 0.1746
0.9030 0.5173 0.6715



8.
MgMo2S4 (PBE, relaxed); ρ = 3.90 g/cm3; E_form = -83.0 kJ per mole of atoms; energy relative to the lowest polymorph listed for this composition = 0.133 eV per atom
1.0
0.0000 5.2743 5.2743
5.2743 0.0000 5.2743
5.2743 5.2743 0.0000
Mg Mo S
2 4 8
Direct
0.1250 0.1250 0.1250
0.8750 0.8750 0.8750
0.0000 0.5000 0.5000
0.5000 0.0000 0.5000
0.5000 0.5000 0.0000
0.5000 0.5000 0.5000
0.2610 0.2610 0.2610
0.2610 0.2610 0.7169
0.2610 0.7169 0.2610
0.2831 0.7390 0.7390
0.7169 0.2610 0.2610
0.7390 0.2831 0.7390
0.7390 0.7390 0.2831
0.7390 0.7390 0.7390



9.
MgMo2S4 (PBE, relaxed); ρ = 3.87 g/cm3; E_form = -95.8 kJ per mole of atoms; energy relative to the lowest polymorph listed for this composition = 0.000 eV per atom
1.0
3.2005 0.0000 0.0000
-1.6002 2.7717 0.0000
0.0000 0.0000 16.6513
Mg Mo S
1 2 4
Direct
0.0000 0.0000 0.0000
0.3333 0.6667 0.2578
0.3333 0.6667 0.7343
0.0000 0.0000 0.1635
0.0000 0.0000 0.3512
0.6667 0.3333 0.6408
0.6667 0.3333 0.8291



10.
MgMo2S4 (PBE, relaxed); ρ = 3.74 g/cm3; E_form = -94.2 kJ per mole of atoms; energy relative to the lowest polymorph listed for this composition = 0.017 eV per atom
1.0
3.1828 0.0000 0.0000
-1.5914 2.7564 0.0000
0.0000 0.0000 17.4098
Mg Mo S
1 2 4
Direct
0.0000 0.0000 0.0000
0.3333 0.6667 0.7401
0.6667 0.3333 0.2599
0.3333 0.6667 0.1687
0.3333 0.6667 0.3500
0.6667 0.3333 0.6500
0.6667 0.3333 0.8313